First-principles (PBE+U) data for a relaxed FeHO2 crystal, as listed in Materials Project.

Summary:
energy of formation from the pure elements = -1.47 eV/atom
mass density = 3.8 g cm⁻³
maximum piezoelectric response = 1.2 C/m2
spin magnetization = 0.0 μB per cell
MP2020-corrected energy = -6.912 eV per atom

Lattice parameters (Å, degrees): 5.316 6.162 5.701 105.65 62.05 90.00
Positions (direct):
Fe 0.502 0.749 0.999
Fe 0.002 0.500 0.999
Fe 0.502 0.249 0.999
Fe 0.002 0.000 0.999
H 0.057 0.637 0.552
H 0.557 0.390 0.552
H 0.057 0.137 0.552
H 0.557 0.890 0.552
O 0.574 0.543 0.183
O 0.074 0.298 0.183
O 0.574 0.043 0.183
O 0.074 0.798 0.183
O 0.956 0.689 0.756
O 0.456 0.439 0.756
O 0.956 0.189 0.756
O 0.456 0.939 0.756